The following is a DFT calculation (GGA-PBE) of crystalline Sr2LiCuBrO2 at its relaxed geometry.

Summary:
ΔE to the lowest computed polymorph = 0.37 eV per formula unit

a = 4.0719 Å, b = 4.0719 Å, c = 29.9839 Å
α = 90.00°, β = 90.00°, γ = 120.00°
Space group R3m (No. 160, hexagonal axes)
Symmetry-distinct sites (fractional):
Sr  0.0000  0.0000  0.0000 [3 per cell]
Sr  0.0000  0.0000  0.4888 [3 per cell]
Li  0.0000  0.0000  0.5997 [3 per cell]
Cu  0.0000  0.0000  0.2357 [3 per cell]
Br  0.0000  0.0000  0.7385 [3 per cell]
O  0.0000  0.0000  0.1730 [3 per cell]
O  0.0000  0.0000  0.3021 [3 per cell]



The following is a DFT calculation (GGA-PBE) of crystalline Sr2LiCuBrO2 at its relaxed geometry.

Summary:
ΔE to the lowest computed polymorph = 0.00 eV per formula unit

a = 4.2320 Å, b = 4.2320 Å, c = 29.5879 Å
α = 90.00°, β = 90.00°, γ = 120.00°
Space group R3m (No. 160, hexagonal axes)
Symmetry-distinct sites (fractional):
Sr  0.0000  0.0000  0.0000 [3 per cell]
Sr  0.0000  0.0000  0.4653 [3 per cell]
Li  0.0000  0.0000  0.8703 [3 per cell]
Cu  0.0000  0.0000  0.7394 [3 per cell]
Br  0.0000  0.0000  0.2368 [3 per cell]
O  0.0000  0.0000  0.6763 [3 per cell]
O  0.0000  0.0000  0.8064 [3 per cell]



The following is a DFT calculation (GGA-PBE) of crystalline MgCu3Te2Br2O6 at its relaxed geometry.

a = 10.080 Å, b = 6.660 Å, c = 8.710 Å
α = 90.00°, β = 110.99°, γ = 90.00°
Space group C2 (No. 5)
Symmetry-distinct sites (fractional):
Mg  0.000  0.000  0.000 [2 per cell]
Cu  0.000  0.451  0.000 [2 per cell]
Cu  0.152  0.756  0.849 [4 per cell]
Te  0.165  0.268  0.747 [4 per cell]
Br  0.245  0.697  0.637 [4 per cell]
O  0.079  0.470  0.838 [4 per cell]
O  0.100  0.051  0.843 [4 per cell]
O  0.149  0.777  0.088 [4 per cell]



The following is a DFT calculation (GGA-PBE) of crystalline CuMo3Br7 at its relaxed geometry.

a = 13.737 Å, b = 13.737 Å, c = 13.737 Å
α = 90.00°, β = 90.00°, γ = 90.00°
Space group Pn-3 (No. 201, origin choice 2)
Symmetry-distinct sites (fractional):
Cu  0.062  0.062  0.062 [8 per cell]
Mo  0.024  0.531  0.869 [24 per cell]
Br  0.061  0.578  0.685 [24 per cell]
Br  0.074  0.624  0.183 [24 per cell]
Br  0.136  0.136  0.364 [8 per cell]



Number 1: formation enthalpy at 0 K -1.835 eV per atom, size of the total moment 2.96 μB per cell. Number 2: formation enthalpy at 0 K -1.888 eV per atom, size of the total moment 2.89 μB per cell. Number 3: formation enthalpy at 0 K -1.229 eV per atom, size of the total moment 2.00 μB per cell. Number 4: formation enthalpy at 0 K -0.962 eV per atom, size of the total moment 0.00 μB per cell.